# Mn7PbO12

A relaxed structure of Mn7PbO12 (PBE with a Hubbard U, Materials Project).

The structure in CIF format:
```
data_Mn7PbO12
_symmetry_space_group_name_H-M 'P 1'
_symmetry_Int_Tables_number 1
_cell_length_a 7.488
_cell_length_b 7.496
_cell_length_c 7.687
_cell_angle_alpha 90.00
_cell_angle_beta 90.03
_cell_angle_gamma 90.00
loop_
_symmetry_equiv_pos_as_xyz
'x,y,z'
loop_
_atom_site_label
_atom_site_type_symbol
_atom_site_fract_x
_atom_site_fract_y
_atom_site_fract_z
_atom_site_occupancy
Mn1 Mn 0.000 0.000 0.000 1
Mn2 Mn 0.000 0.005 0.500 1
Mn3 Mn 0.000 0.496 0.000 1
Mn4 Mn 0.250 0.256 0.249 1
Mn5 Mn 0.250 0.256 0.750 1
Mn6 Mn 0.251 0.756 0.251 1
Mn7 Mn 0.251 0.756 0.750 1
Mn8 Mn 0.500 0.017 0.500 1
Mn9 Mn 0.500 0.505 0.000 1
Mn10 Mn 0.500 0.510 0.500 1
Mn11 Mn 0.749 0.756 0.250 1
Mn12 Mn 0.749 0.756 0.749 1
Mn13 Mn 0.750 0.256 0.250 1
Mn14 Mn 0.750 0.256 0.751 1
Pb1 Pb 0.000 0.511 0.500 1
Pb2 Pb 0.500 0.000 0.000 1
O1 O 0.001 0.194 0.320 1
O2 O 0.015 0.822 0.676 1
O3 O 0.177 0.506 0.810 1
O4 O 0.183 0.820 0.982 1
O5 O 0.185 0.490 0.177 1
O6 O 0.186 0.180 0.018 1
O7 O 0.314 0.330 0.483 1
O8 O 0.316 0.022 0.322 1
O9 O 0.317 0.691 0.517 1
O10 O 0.322 0.005 0.690 1
O11 O 0.484 0.689 0.824 1
O12 O 0.499 0.316 0.180 1
O13 O 0.501 0.316 0.820 1
O14 O 0.516 0.689 0.176 1
O15 O 0.678 0.005 0.310 1
O16 O 0.683 0.691 0.483 1
O17 O 0.684 0.022 0.678 1
O18 O 0.686 0.330 0.517 1
O19 O 0.814 0.180 0.982 1
O20 O 0.815 0.490 0.823 1
O21 O 0.817 0.820 0.018 1
O22 O 0.823 0.506 0.190 1
O23 O 0.985 0.822 0.324 1
O24 O 0.999 0.194 0.680 1
```

Computed properties:
The calculation puts the total magnetization at 54.0 μB per cell. The calculated formation energy is -1.892 eV per atom. The energy above the most stable polymorph in this dataset comes out at 21.5 meV/atom.